A relaxed structure of Na15Ta8Zn4Si9P9O72, computed with PBE.

Cell lengths 9.005, 8.997, 22.390 Å; angles 89.76, 89.94, 120.15 degrees
Fractional coordinates of all 117 atoms:
Na1 0.643 0.021 0.239
Na2 0.980 0.621 0.239
Na3 0.638 0.620 0.738
Na4 0.374 0.022 0.741
Na5 0.320 0.341 0.590
Na6 0.961 0.684 0.911
Na7 0.715 0.032 0.910
Na8 0.958 0.280 0.410
Na9 0.711 0.681 0.408
Na10 0.014 0.991 0.492
Na11 0.017 0.012 0.992
Na12 0.669 0.333 0.822
Na13 0.631 0.323 0.323
Na14 0.334 0.655 0.162
Na15 0.311 0.667 0.663
Ta1 0.997 0.000 0.645
Ta2 0.001 0.999 0.144
Ta3 0.663 0.334 0.982
Ta4 0.666 0.334 0.482
Ta5 0.337 0.675 0.022
Ta6 0.327 0.666 0.521
Ta7 0.331 0.662 0.311
Ta8 0.335 0.665 0.812
Zn1 0.022 0.004 0.354
Zn2 0.005 0.000 0.855
Zn3 0.672 0.332 0.676
Zn4 0.661 0.331 0.176
Si1 0.954 0.333 0.585
Si2 0.377 0.039 0.589
Si3 0.668 0.625 0.586
Si4 0.958 0.623 0.088
Si5 0.670 0.043 0.087
Si6 0.620 0.659 0.916
Si7 0.339 0.964 0.915
Si8 0.336 0.374 0.418
Si9 0.039 0.664 0.415
P1 0.293 0.001 0.251
P2 0.709 0.713 0.253
P3 0.006 0.288 0.254
P4 0.284 0.291 0.752
P5 0.000 0.708 0.754
P6 0.710 0.999 0.755
P7 0.375 0.334 0.085
P8 0.044 0.383 0.919
P9 0.612 0.958 0.415
O1 0.213 0.011 0.309
O2 0.804 0.792 0.311
O3 0.989 0.191 0.312
O4 0.192 0.180 0.806
O5 0.984 0.783 0.813
O6 0.796 0.004 0.814
O7 0.811 0.981 0.701
O8 0.184 0.205 0.693
O9 0.026 0.835 0.700
O10 0.812 0.834 0.199
O11 0.024 0.194 0.199
O12 0.175 0.978 0.196
O13 0.886 0.378 0.643
O14 0.474 0.109 0.650
O15 0.609 0.505 0.644
O16 0.884 0.520 0.148
O17 0.634 0.111 0.147
O18 0.481 0.371 0.141
O19 0.466 0.307 0.029
O20 0.832 0.526 0.029
O21 0.690 0.165 0.028
O22 0.479 0.174 0.532
O23 0.699 0.531 0.526
O24 0.839 0.304 0.523
O25 0.507 0.669 0.971
O26 0.150 0.476 0.974
O27 0.323 0.838 0.972
O28 0.513 0.843 0.469
O29 0.329 0.481 0.475
O30 0.158 0.673 0.472
O31 0.139 0.644 0.355
O32 0.508 0.871 0.357
O33 0.364 0.506 0.360
O34 0.138 0.498 0.862
O35 0.363 0.863 0.856
O36 0.503 0.637 0.855
O37 0.002 0.820 0.415
O38 0.789 0.977 0.415
O39 0.161 0.194 0.417
O40 0.012 0.201 0.915
O41 0.169 0.976 0.915
O42 0.806 0.830 0.917
O43 0.977 0.161 0.593
O44 0.187 0.030 0.592
O45 0.841 0.813 0.594
O46 0.981 0.818 0.092
O47 0.847 0.029 0.092
O48 0.196 0.167 0.090
O49 0.672 0.145 0.750
O50 0.468 0.323 0.750
O51 0.843 0.532 0.745
O52 0.681 0.533 0.246
O53 0.854 0.320 0.250
O54 0.476 0.150 0.245
O55 0.642 0.489 0.922
O56 0.868 0.379 0.922
O57 0.523 0.144 0.922
O58 0.625 0.136 0.421
O59 0.516 0.369 0.421
O60 0.855 0.479 0.420
O61 0.342 0.484 0.073
O62 0.151 0.651 0.075
O63 0.510 0.845 0.075
O64 0.343 0.847 0.575
O65 0.508 0.659 0.571
O66 0.156 0.489 0.575
O67 0.300 0.825 0.252
O68 0.532 0.713 0.253
O69 0.177 0.474 0.255
O70 0.295 0.473 0.755
O71 0.175 0.703 0.754
O72 0.526 0.820 0.753

Results
Uncorrected energy (eV/atom): -7.337
Formation energy (kJ/mol of atoms): -275.69
Magnetic moment (μB per cell): 0.00

A relaxed structure of Na3TaZnSiP2O12, computed with PBE.

Cell lengths 15.783, 8.994, 8.846 Å; angles 90.00, 124.60, 90.00 degrees
Fractional coordinates of all 80 atoms:
Na1 0.252 0.724 0.978
Na2 0.752 0.776 0.478
Na3 0.752 0.224 0.978
Na4 0.252 0.276 0.478
Na5 0.509 0.114 0.750
Na6 0.509 0.886 0.250
Na7 0.009 0.614 0.750
Na8 0.009 0.386 0.250
Na9 0.180 0.936 0.291
Na10 0.180 0.064 0.791
Na11 0.680 0.436 0.291
Na12 0.680 0.564 0.791
Ta1 0.895 0.756 0.936
Ta2 0.895 0.244 0.436
Ta3 0.395 0.256 0.936
Ta4 0.395 0.744 0.436
Zn1 0.099 0.739 0.553
Zn2 0.099 0.261 0.053
Zn3 0.599 0.239 0.553
Zn4 0.599 0.761 0.053
Si1 0.647 0.889 0.745
Si2 0.647 0.111 0.245
Si3 0.147 0.389 0.745
Si4 0.147 0.611 0.245
P1 0.999 0.959 0.765
P2 0.999 0.041 0.265
P3 0.499 0.459 0.765
P4 0.499 0.541 0.265
P5 0.354 0.902 0.762
P6 0.354 0.098 0.262
P7 0.854 0.402 0.762
P8 0.854 0.598 0.262
O1 0.150 0.567 0.739
O2 0.856 0.580 0.752
O3 0.856 0.420 0.252
O4 0.150 0.433 0.239
O5 0.650 0.067 0.739
O6 0.356 0.080 0.752
O7 0.356 0.920 0.252
O8 0.650 0.933 0.239
O9 0.439 0.569 0.593
O10 0.560 0.547 0.941
O11 0.560 0.453 0.441
O12 0.439 0.431 0.093
O13 0.939 0.069 0.593
O14 0.060 0.047 0.941
O15 0.060 0.953 0.441
O16 0.939 0.931 0.093
O17 0.258 0.858 0.748
O18 0.746 0.805 0.754
O19 0.746 0.195 0.254
O20 0.258 0.142 0.248
O21 0.758 0.358 0.748
O22 0.246 0.305 0.754
O23 0.246 0.695 0.254
O24 0.758 0.642 0.248
O25 0.357 0.856 0.588
O26 0.651 0.821 0.914
O27 0.651 0.179 0.414
O28 0.357 0.144 0.088
O29 0.857 0.356 0.588
O30 0.151 0.321 0.914
O31 0.151 0.679 0.414
O32 0.857 0.644 0.088
O33 0.451 0.847 0.937
O34 0.535 0.821 0.555
O35 0.535 0.179 0.055
O36 0.451 0.153 0.437
O37 0.951 0.347 0.937
O38 0.035 0.321 0.555
O39 0.035 0.679 0.055
O40 0.951 0.653 0.437
O41 0.070 0.855 0.748
O42 0.911 0.865 0.752
O43 0.911 0.135 0.252
O44 0.070 0.145 0.248
O45 0.570 0.355 0.748
O46 0.411 0.365 0.752
O47 0.411 0.635 0.252
O48 0.570 0.645 0.248

Results
Uncorrected energy (eV/atom): -6.930
Formation energy (kJ/mol of atoms): -261.13
Magnetic moment (μB per cell): 0.00
ΔE to the lowest computed polymorph (meV/atom): 8.4

- Number 2 is which compound?
  Na3TaZnSiP2O12

- The highest formation energy belongs to which entry?
  Na3TaZnSiP2O12

- Look up the formation energy of the first one.
  -275.69 kJ/mol of atoms